A geometry-optimized VH10SNO9 structure, computed with PBE with a Hubbard U.

Results
- Total magnetization: 0.00 μB per cell
- Raw total energy: -5.582 eV/atom
- ΔE_f: -1394 meV per atom

Unit cell a=10.005 b=6.270 c=6.796 alpha=71.67 beta=90.00 gamma=90.00
Fractional coordinates of all 44 atoms:
1 V 0.000 0.611 0.614
2 V 0.500 0.389 0.386
3 H 0.764 0.313 0.255
4 H 0.218 0.763 0.308
5 H 0.350 0.884 0.931
6 H 0.148 0.413 0.259
7 H 0.718 0.237 0.692
8 H 0.221 0.181 0.229
9 H 0.648 0.587 0.741
10 H 0.859 0.962 0.300
11 H 0.850 0.116 0.069
12 H 0.162 0.381 0.022
13 H 0.721 0.819 0.771
14 H 0.359 0.038 0.700
15 H 0.053 0.220 0.197
16 H 0.267 0.467 0.667
17 H 0.264 0.687 0.745
18 H 0.553 0.780 0.803
19 H 0.767 0.533 0.333
20 H 0.085 0.793 0.181
21 H 0.585 0.207 0.819
22 H 0.662 0.619 0.978
23 S 0.502 0.931 0.269
24 S 0.002 0.069 0.731
25 N 0.146 0.297 0.178
26 N 0.646 0.703 0.822
27 O 0.367 0.879 0.791
28 O 0.367 0.327 0.548
29 O 0.543 0.072 0.405
30 O 0.435 0.467 0.152
31 O 0.037 0.304 0.594
32 O 0.627 0.302 0.689
33 O 0.867 0.673 0.452
34 O 0.043 0.928 0.595
35 O 0.856 0.052 0.769
36 O 0.537 0.696 0.406
37 O 0.709 0.443 0.268
38 O 0.079 0.007 0.923
39 O 0.127 0.698 0.311
40 O 0.935 0.533 0.848
41 O 0.579 0.993 0.077
42 O 0.209 0.557 0.732
43 O 0.867 0.121 0.209
44 O 0.356 0.948 0.231

***

A geometry-optimized VH5Se2NO7 structure, computed with PBE with a Hubbard U.

Results
- Total magnetization: 2.00 μB per cell
- Raw total energy: -5.618 eV/atom
- ΔE_f: -1274 meV per atom

Unit cell a=10.671 b=4.056 c=8.064 alpha=81.46 beta=90.00 gamma=90.00
Fractional coordinates of all 32 atoms:
1 V 0.750 0.432 0.546
2 V 0.250 0.568 0.454
3 H 0.000 0.500 0.000
4 H 0.500 0.500 0.000
5 H 0.171 0.978 0.989
6 H 0.671 0.022 0.011
7 H 0.829 0.022 0.011
8 H 0.329 0.978 0.989
9 H 0.250 0.312 0.898
10 H 0.750 0.688 0.102
11 H 0.250 0.227 0.108
12 H 0.750 0.773 0.892
13 Se 0.010 0.702 0.690
14 Se 0.510 0.298 0.310
15 Se 0.990 0.298 0.310
16 Se 0.490 0.702 0.690
17 N 0.250 0.124 0.998
18 N 0.750 0.876 0.002
19 O 0.117 0.418 0.630
20 O 0.617 0.582 0.370
21 O 0.883 0.582 0.370
22 O 0.383 0.418 0.630
23 O 0.876 0.457 0.729
24 O 0.376 0.543 0.271
25 O 0.124 0.543 0.271
26 O 0.624 0.457 0.729
27 O 0.055 0.700 0.898
28 O 0.555 0.300 0.102
29 O 0.945 0.300 0.102
30 O 0.445 0.700 0.898
31 O 0.750 0.021 0.539
32 O 0.250 0.979 0.461

***

A geometry-optimized V3H4NO8 structure, computed with PBE with a Hubbard U.

Results
- Total magnetization: 0.00 μB per cell
- Raw total energy: -6.633 eV/atom
- ΔE_f: -1748 meV per atom

Unit cell a=8.576 b=5.061 c=7.972 alpha=82.60 beta=90.00 gamma=90.00
Fractional coordinates of all 32 atoms:
1 V 0.446 0.940 0.318
2 V 0.054 0.940 0.318
3 V 0.750 0.573 0.578
4 V 0.250 0.427 0.422
5 V 0.946 0.060 0.682
6 V 0.554 0.060 0.682
7 H 0.750 0.666 0.946
8 H 0.154 0.561 0.911
9 H 0.346 0.561 0.911
10 H 0.750 0.700 0.151
11 H 0.250 0.300 0.849
12 H 0.846 0.439 0.089
13 H 0.654 0.439 0.089
14 H 0.250 0.334 0.054
15 N 0.250 0.439 0.932
16 N 0.750 0.561 0.068
17 O 0.434 0.932 0.830
18 O 0.066 0.932 0.830
19 O 0.750 0.909 0.756
20 O 0.913 0.818 0.506
21 O 0.587 0.818 0.506
22 O 0.250 0.620 0.571
23 O 0.400 0.615 0.270
24 O 0.100 0.615 0.270
25 O 0.600 0.385 0.730
26 O 0.900 0.385 0.730
27 O 0.750 0.380 0.429
28 O 0.413 0.182 0.494
29 O 0.087 0.182 0.494
30 O 0.250 0.091 0.244
31 O 0.934 0.068 0.170
32 O 0.566 0.068 0.170

***

A geometry-optimized V3H4NO8 structure, computed with PBE with a Hubbard U.

Results
- Total magnetization: 0.00 μB per cell
- Raw total energy: -6.632 eV/atom
- ΔE_f: -1748 meV per atom

Unit cell a=8.582 b=5.099 c=8.053 alpha=83.57 beta=90.00 gamma=90.00
Fractional coordinates of all 32 atoms:
1 V 0.250 0.423 0.427
2 V 0.750 0.577 0.573
3 V 0.055 0.938 0.320
4 V 0.555 0.062 0.680
5 V 0.945 0.062 0.680
6 V 0.445 0.938 0.320
7 H 0.346 0.545 0.874
8 H 0.846 0.455 0.126
9 H 0.654 0.455 0.126
10 H 0.154 0.545 0.874
11 H 0.750 0.500 0.943
12 H 0.250 0.500 0.057
13 H 0.750 0.743 0.069
14 H 0.250 0.257 0.931
15 N 0.250 0.459 0.934
16 N 0.750 0.541 0.066
17 O 0.563 0.064 0.174
18 O 0.250 0.610 0.578
19 O 0.063 0.936 0.826
20 O 0.899 0.390 0.723
21 O 0.601 0.390 0.723
22 O 0.101 0.610 0.277
23 O 0.750 0.390 0.422
24 O 0.088 0.179 0.495
25 O 0.412 0.179 0.495
26 O 0.912 0.821 0.505
27 O 0.250 0.079 0.249
28 O 0.750 0.921 0.751
29 O 0.437 0.936 0.826
30 O 0.937 0.064 0.174
31 O 0.399 0.610 0.277
32 O 0.588 0.821 0.505

***

A geometry-optimized VH7N2O5 structure, computed with PBE with a Hubbard U.

Results
- Total magnetization: 0.00 μB per cell
- Raw total energy: -5.523 eV/atom
- ΔE_f: -740 meV per atom

Unit cell a=6.882 b=8.539 c=9.454 alpha=90.00 beta=90.00 gamma=90.00
Fractional coordinates of all 60 atoms:
1 V 0.250 0.733 0.274
2 V 0.250 0.233 0.226
3 V 0.750 0.267 0.726
4 V 0.750 0.767 0.774
5 H 0.250 0.564 0.988
6 H 0.250 0.064 0.512
7 H 0.750 0.436 0.012
8 H 0.750 0.936 0.488
9 H 0.250 0.686 0.846
10 H 0.250 0.186 0.654
11 H 0.750 0.314 0.154
12 H 0.750 0.814 0.346
13 H 0.129 0.514 0.839
14 H 0.371 0.014 0.661
15 H 0.629 0.486 0.161
16 H 0.871 0.986 0.339
17 H 0.871 0.486 0.161
18 H 0.629 0.986 0.339
19 H 0.371 0.514 0.839
20 H 0.129 0.014 0.661
21 H 0.250 0.487 0.444
22 H 0.250 0.987 0.056
23 H 0.750 0.513 0.556
24 H 0.750 0.013 0.944
25 H 0.130 0.633 0.526
26 H 0.370 0.133 0.974
27 H 0.630 0.367 0.474
28 H 0.870 0.867 0.026
29 H 0.870 0.367 0.474
30 H 0.630 0.867 0.026
31 H 0.370 0.633 0.526
32 H 0.130 0.133 0.974
33 N 0.250 0.604 0.466
34 N 0.250 0.104 0.034
35 N 0.750 0.396 0.534
36 N 0.750 0.896 0.966
37 N 0.250 0.571 0.879
38 N 0.250 0.071 0.621
39 N 0.750 0.429 0.121
40 N 0.750 0.929 0.379
41 O 0.445 0.736 0.131
42 O 0.055 0.236 0.369
43 O 0.945 0.264 0.869
44 O 0.555 0.764 0.631
45 O 0.555 0.264 0.869
46 O 0.945 0.764 0.631
47 O 0.055 0.736 0.131
48 O 0.445 0.236 0.369
49 O 0.514 0.664 0.263
50 O 0.986 0.164 0.237
51 O 0.014 0.336 0.737
52 O 0.486 0.836 0.763
53 O 0.486 0.336 0.737
54 O 0.014 0.836 0.763
55 O 0.986 0.664 0.263
56 O 0.514 0.164 0.237
57 O 0.250 0.909 0.344
58 O 0.250 0.409 0.156
59 O 0.750 0.091 0.656
60 O 0.750 0.591 0.844

***

A geometry-optimized V5H18N3O17 structure, computed with PBE with a Hubbard U.

Results
- Total magnetization: 0.00 μB per cell
- Raw total energy: -6.013 eV/atom
- ΔE_f: -1468 meV per atom

Unit cell a=10.423 b=10.433 c=16.915 alpha=83.55 beta=86.72 gamma=69.63
Fractional coordinates of all 172 atoms:
1 V 0.441 0.189 0.112
2 V 0.559 0.811 0.888
3 V 0.312 0.868 0.007
4 V 0.688 0.132 0.993
5 V 0.348 0.938 0.182
6 V 0.652 0.062 0.818
7 V 0.597 0.879 0.063
8 V 0.403 0.121 0.937
9 V 0.162 0.167 0.059
10 V 0.838 0.833 0.941
11 V 0.736 0.588 0.562
12 V 0.264 0.412 0.438
13 V 0.021 0.656 0.359
14 V 0.979 0.344 0.641
15 V 0.721 0.639 0.374
16 V 0.279 0.361 0.626
17 V 0.962 0.393 0.450
18 V 0.038 0.607 0.550
19 V 0.798 0.844 0.471
20 V 0.202 0.156 0.529
21 H 0.551 0.318 0.542
22 H 0.449 0.682 0.458
23 H 0.648 0.221 0.619
24 H 0.352 0.779 0.381
25 H 0.681 0.170 0.526
26 H 0.319 0.830 0.474
27 H 0.719 0.308 0.550
28 H 0.281 0.692 0.450
29 H 0.948 0.549 0.129
30 H 0.052 0.451 0.871
31 H 0.942 0.424 0.198
32 H 0.058 0.576 0.802
33 H 0.856 0.587 0.214
34 H 0.144 0.413 0.786
35 H 0.797 0.517 0.142
36 H 0.203 0.483 0.858
37 H 0.433 0.008 0.629
38 H 0.567 0.992 0.371
39 H 0.528 0.911 0.707
40 H 0.472 0.089 0.293
41 H 0.428 0.846 0.658
42 H 0.572 0.154 0.342
43 H 0.572 0.865 0.613
44 H 0.428 0.135 0.387
45 H 0.967 0.899 0.075
46 H 0.033 0.101 0.925
47 H 0.098 0.879 0.136
48 H 0.902 0.121 0.864
49 H 0.048 0.746 0.128
50 H 0.952 0.254 0.872
51 H 0.940 0.882 0.175
52 H 0.060 0.118 0.825
53 H 0.667 0.433 0.750
54 H 0.333 0.567 0.250
55 H 0.631 0.346 0.835
56 H 0.369 0.654 0.165
57 H 0.514 0.412 0.763
58 H 0.486 0.588 0.237
59 H 0.552 0.521 0.817
60 H 0.448 0.479 0.183
61 H 0.105 0.023 0.292
62 H 0.895 0.977 0.708
63 H 0.021 0.116 0.366
64 H 0.979 0.884 0.634
65 H 0.980 0.979 0.345
66 H 0.020 0.021 0.655
67 H 0.943 0.126 0.278
68 H 0.057 0.874 0.722
69 H 0.606 0.592 0.053
70 H 0.394 0.408 0.947
71 H 0.665 0.429 0.066
72 H 0.335 0.571 0.934
73 H 0.829 0.530 0.913
74 H 0.171 0.470 0.087
75 H 0.900 0.396 0.971
76 H 0.100 0.604 0.029
77 H 0.830 0.722 0.786
78 H 0.170 0.278 0.214
79 H 0.889 0.647 0.708
80 H 0.111 0.353 0.292
81 H 0.715 0.977 0.187
82 H 0.285 0.023 0.813
83 H 0.771 0.900 0.272
84 H 0.229 0.100 0.728
85 H 0.780 0.162 0.196
86 H 0.220 0.838 0.804
87 H 0.865 0.245 0.151
88 H 0.135 0.755 0.849
89 H 0.696 0.302 0.292
90 H 0.304 0.698 0.708
91 H 0.562 0.360 0.345
92 H 0.438 0.640 0.655
93 N 0.650 0.255 0.559
94 N 0.350 0.745 0.441
95 N 0.883 0.520 0.170
96 N 0.117 0.480 0.830
97 N 0.490 0.908 0.652
98 N 0.510 0.092 0.348
99 N 0.014 0.851 0.129
100 N 0.986 0.149 0.871
101 N 0.591 0.429 0.792
102 N 0.409 0.571 0.208
103 N 0.012 0.060 0.321
104 N 0.988 0.940 0.679
105 O 0.002 0.273 0.059
106 O 0.998 0.727 0.941
107 O 0.322 0.875 0.273
108 O 0.678 0.125 0.727
109 O 0.269 0.751 0.969
110 O 0.731 0.249 0.031
111 O 0.486 0.303 0.152
112 O 0.514 0.697 0.848
113 O 0.414 0.078 0.200
114 O 0.586 0.922 0.800
115 O 0.542 0.830 0.156
116 O 0.458 0.170 0.844
117 O 0.177 0.066 0.156
118 O 0.823 0.934 0.844
119 O 0.256 0.276 0.096
120 O 0.744 0.724 0.904
121 O 0.152 0.017 0.008
122 O 0.848 0.983 0.992
123 O 0.309 0.819 0.115
124 O 0.691 0.181 0.885
125 O 0.767 0.780 0.050
126 O 0.233 0.220 0.950
127 O 0.626 0.042 0.094
128 O 0.374 0.958 0.906
129 O 0.519 0.774 0.004
130 O 0.481 0.226 0.996
131 O 0.395 0.023 0.049
132 O 0.605 0.977 0.951
133 O 0.606 0.645 0.311
134 O 0.394 0.355 0.689
135 O 0.736 0.010 0.480
136 O 0.264 0.990 0.520
137 O 0.125 0.679 0.286
138 O 0.875 0.321 0.714
139 O 0.631 0.564 0.634
140 O 0.369 0.436 0.366
141 O 0.639 0.601 0.472
142 O 0.361 0.399 0.528
143 O 0.831 0.441 0.383
144 O 0.169 0.559 0.617
145 O 0.684 0.821 0.398
146 O 0.316 0.179 0.602
147 O 0.706 0.773 0.555
148 O 0.294 0.227 0.445
149 O 0.937 0.830 0.391
150 O 0.063 0.170 0.609
151 O 0.870 0.657 0.308
152 O 0.130 0.343 0.692
153 O 0.044 0.217 0.451
154 O 0.956 0.783 0.549
155 O 0.849 0.391 0.546
156 O 0.151 0.609 0.454
157 O 0.090 0.449 0.377
158 O 0.910 0.551 0.623
159 O 0.899 0.606 0.468
160 O 0.101 0.394 0.532
161 O 0.650 0.513 0.091
162 O 0.350 0.487 0.909
163 O 0.890 0.433 0.915
164 O 0.110 0.567 0.085
165 O 0.909 0.699 0.749
166 O 0.091 0.301 0.251
167 O 0.784 0.964 0.228
168 O 0.216 0.036 0.772
169 O 0.827 0.226 0.204
170 O 0.173 0.774 0.796
171 O 0.646 0.280 0.339
172 O 0.354 0.720 0.661

***

A geometry-optimized V3H4NO7 structure, computed with PBE with a Hubbard U.

Results
- Total magnetization: 4.00 μB per cell
- Raw total energy: -6.693 eV/atom
- ΔE_f: -1768 meV per atom

Unit cell a=3.801 b=8.483 c=10.129 alpha=84.16 beta=79.19 gamma=77.05
Fractional coordinates of all 30 atoms:
1 V 0.293 0.863 0.550
2 V 0.707 0.137 0.450
3 V 0.556 0.558 0.330
4 V 0.444 0.442 0.670
5 V 0.059 0.157 0.726
6 V 0.941 0.843 0.274
7 H 0.682 0.809 0.827
8 H 0.318 0.191 0.173
9 H 0.841 0.777 0.976
10 H 0.594 0.223 0.024
11 H 0.159 0.223 0.024
12 H 0.406 0.777 0.976
13 H 0.736 0.623 0.906
14 H 0.264 0.377 0.094
15 N 0.668 0.745 0.920
16 N 0.332 0.255 0.080
17 O 0.186 0.911 0.717
18 O 0.814 0.089 0.283
19 O 0.429 0.809 0.332
20 O 0.571 0.191 0.668
21 O 0.199 0.105 0.498
22 O 0.801 0.895 0.502
23 O 0.398 0.629 0.575
24 O 0.602 0.371 0.425
25 O 0.977 0.388 0.658
26 O 0.023 0.612 0.342
27 O 0.659 0.510 0.172
28 O 0.341 0.490 0.828
29 O 0.972 0.161 0.894
30 O 0.028 0.839 0.106